[1]
Entry from the Materials Project database: a relaxed structure of Li9Mn2Co5O16 (PBE with a Hubbard U).

The structure in POSCAR format:
```
Li9Mn2Co5O16
1.0
2.636 -1.422 0.000
2.636 1.422 0.000
-0.234 0.000 39.257
Li Mn Co O
9 2 5 16
Direct
0.000 0.000 0.000
0.061 0.061 0.813
0.185 0.185 0.439
0.321 0.321 0.062
0.435 0.435 0.689
0.565 0.565 0.311
0.679 0.679 0.938
0.815 0.815 0.561
0.939 0.939 0.187
0.125 0.125 0.625
0.875 0.875 0.375
0.252 0.252 0.250
0.371 0.371 0.874
0.500 0.500 0.500
0.629 0.629 0.126
0.748 0.748 0.750
0.039 0.039 0.902
0.112 0.112 0.722
0.138 0.138 0.528
0.242 0.242 0.346
0.284 0.284 0.155
0.345 0.345 0.968
0.390 0.390 0.777
0.493 0.493 0.596
0.507 0.507 0.404
0.610 0.610 0.223
0.655 0.655 0.032
0.716 0.716 0.845
0.758 0.758 0.654
0.862 0.862 0.472
0.888 0.888 0.278
0.961 0.961 0.098
```

Computed properties:
SG: C2/m (12)
Magnetization, μB per atom: 0.738
Energy of formation, kcal/mol of atoms: -39.394



[2]
Entry from the Materials Project database: a relaxed structure of Ho6Fe16O (PBE with a Hubbard U).

The structure in POSCAR format:
```
Ho6Fe16O
1.0
-4.701 4.701 4.701
4.701 -4.701 4.701
4.701 4.701 -4.701
Ho Fe O
6 16 1
Direct
0.000 0.263 0.263
0.000 0.737 0.737
0.263 0.000 0.263
0.263 0.263 0.000
0.737 0.000 0.737
0.737 0.737 0.000
0.000 0.000 0.500
0.000 0.338 0.662
0.000 0.500 0.000
0.000 0.662 0.338
0.325 0.662 0.662
0.338 0.000 0.662
0.338 0.338 0.675
0.338 0.662 0.000
0.338 0.675 0.338
0.500 0.000 0.000
0.500 0.500 0.500
0.662 0.000 0.338
0.662 0.325 0.662
0.662 0.338 0.000
0.662 0.662 0.325
0.675 0.338 0.338
0.000 0.000 0.000
```

Computed properties:
SG: Im-3m (229)
Magnetization, μB per atom: 2.196
Energy of formation, kcal/mol of atoms: 18.012



[3]
Entry from the Materials Project database: a relaxed structure of KCoO2 (PBE with a Hubbard U).

The structure in POSCAR format:
```
KCoO2
1.0
4.067 -3.825 0.000
4.067 3.825 0.000
-0.031 0.000 8.121
K Co O
4 4 8
Direct
0.000 0.000 0.000
0.001 0.499 0.753
0.501 0.499 0.500
0.501 0.999 0.247
0.001 0.999 0.500
0.002 0.501 0.253
0.499 0.998 0.747
0.502 0.498 0.000
0.044 0.814 0.310
0.078 0.299 0.428
0.186 0.956 0.690
0.192 0.420 0.067
0.544 0.322 0.804
0.580 0.808 0.933
0.678 0.456 0.196
0.701 0.922 0.572
```

Computed properties:
SG: C2 (5)
Magnetization, μB per atom: 0.500
Energy of formation, kcal/mol of atoms: -34.160



[4]
Entry from the Materials Project database: a relaxed structure of Li9Mn3P8O29 (PBE with a Hubbard U).

The structure in POSCAR format:
```
Li9Mn3P8O29
1.0
8.660 -4.870 0.000
8.660 4.870 0.000
-0.456 0.000 13.798
Li Mn P O
18 6 16 58
Direct
0.000 0.000 0.000
0.000 0.000 0.500
0.099 0.233 0.938
0.104 0.660 0.437
0.233 0.099 0.438
0.235 0.669 0.936
0.329 0.334 0.120
0.331 0.765 0.564
0.334 0.329 0.620
0.340 0.896 0.063
0.660 0.104 0.937
0.666 0.671 0.380
0.669 0.235 0.436
0.671 0.666 0.880
0.765 0.331 0.064
0.767 0.901 0.562
0.896 0.340 0.563
0.901 0.767 0.062
0.002 0.564 0.250
0.432 0.568 0.750
0.436 0.998 0.250
0.564 0.002 0.750
0.568 0.432 0.250
0.998 0.436 0.750
0.088 0.223 0.158
0.094 0.681 0.655
0.223 0.088 0.658
0.231 0.683 0.154
0.317 0.769 0.346
0.319 0.906 0.845
0.325 0.332 0.877
0.332 0.325 0.377
0.668 0.675 0.623
0.675 0.668 0.123
0.681 0.094 0.155
0.683 0.231 0.654
0.769 0.317 0.846
0.777 0.912 0.342
0.906 0.319 0.345
0.912 0.777 0.842
0.000 0.214 0.252
0.000 0.786 0.748
0.002 0.773 0.566
0.002 0.781 0.932
0.073 0.253 0.658
0.088 0.666 0.147
0.103 0.369 0.166
0.120 0.517 0.663
0.182 0.321 0.835
0.188 0.481 0.334
0.214 0.000 0.752
0.214 0.786 0.250
0.219 0.998 0.568
0.227 0.998 0.934
0.230 0.761 0.433
0.239 0.770 0.067
0.253 0.073 0.158
0.254 0.675 0.659
0.314 0.485 0.846
0.317 0.330 0.486
0.321 0.182 0.335
0.325 0.746 0.841
0.330 0.317 0.986
0.334 0.912 0.353
0.369 0.103 0.666
0.379 0.516 0.167
0.481 0.188 0.834
0.483 0.880 0.837
0.484 0.621 0.333
0.485 0.314 0.346
0.515 0.686 0.654
0.516 0.379 0.667
0.517 0.120 0.163
0.519 0.812 0.166
0.621 0.484 0.833
0.631 0.897 0.334
0.666 0.088 0.647
0.670 0.683 0.014
0.675 0.254 0.159
0.679 0.818 0.665
0.683 0.670 0.514
0.686 0.515 0.154
0.746 0.325 0.341
0.747 0.927 0.842
0.761 0.230 0.933
0.770 0.239 0.567
0.773 0.002 0.066
0.781 0.002 0.432
0.786 0.000 0.248
0.786 0.214 0.750
0.812 0.519 0.666
0.818 0.679 0.165
0.880 0.483 0.337
0.897 0.631 0.834
0.912 0.334 0.853
0.927 0.747 0.342
0.998 0.219 0.068
0.998 0.227 0.434
```

Computed properties:
SG: C2/c (15)
Magnetization, μB per atom: 0.245
Energy of formation, kcal/mol of atoms: -60.666



[5]
Entry from the Materials Project database: a relaxed structure of Li2VSnP2O8 (PBE with a Hubbard U).

The structure in POSCAR format:
```
Li2VSnP2O8
1.0
0.019 6.404 4.869
0.019 -6.403 4.868
11.189 0.000 0.045
Li V Sn P O
8 4 4 8 32
Direct
0.000 0.000 0.000
0.500 0.500 0.000
0.250 0.750 0.000
0.750 0.250 0.000
0.250 0.250 0.500
0.750 0.750 0.500
0.500 0.000 0.500
0.000 0.500 0.500
0.095 0.345 0.212
0.905 0.655 0.788
0.595 0.845 0.212
0.405 0.155 0.788
0.610 0.360 0.276
0.110 0.860 0.276
0.390 0.640 0.724
0.890 0.140 0.724
0.329 0.079 0.075
0.829 0.579 0.075
0.671 0.921 0.925
0.171 0.421 0.925
0.800 0.050 0.390
0.300 0.550 0.390
0.200 0.950 0.610
0.700 0.450 0.610
0.728 0.978 0.054
0.228 0.478 0.054
0.272 0.022 0.946
0.772 0.522 0.946
0.488 0.238 0.083
0.988 0.738 0.083
0.512 0.762 0.917
0.012 0.262 0.917
0.457 0.707 0.374
0.957 0.207 0.374
0.543 0.293 0.626
0.043 0.793 0.626
0.249 0.999 0.477
0.749 0.499 0.477
0.751 0.001 0.523
0.251 0.501 0.523
0.166 0.112 0.140
0.666 0.612 0.140
0.362 0.916 0.140
0.862 0.416 0.140
0.638 0.084 0.860
0.138 0.584 0.860
0.834 0.888 0.860
0.334 0.388 0.860
0.631 0.074 0.330
0.131 0.574 0.330
0.824 0.881 0.330
0.324 0.381 0.330
0.176 0.119 0.670
0.676 0.619 0.670
0.369 0.926 0.670
0.869 0.426 0.670
```

Computed properties:
Magnetization, μB per atom: 0.000
Energy of formation, kcal/mol of atoms: -57.520



[6]
Entry from the Materials Project database: a relaxed structure of MgMn3HO6 (PBE with a Hubbard U).

The structure in POSCAR format:
```
MgMn3HO6
1.0
2.887 0.000 0.000
0.005 5.286 0.000
1.442 1.633 8.527
Mg Mn H O
1 3 1 6
Direct
0.000 0.000 0.000
0.002 0.500 0.996
0.331 0.008 0.339
0.668 0.056 0.664
0.228 0.461 0.540
0.106 0.884 0.787
0.226 0.273 0.547
0.468 0.709 0.064
0.539 0.297 0.921
0.765 0.851 0.472
0.901 0.150 0.199
```

Computed properties:
SG: P1 (1)
Magnetization, μB per atom: 1.091
Energy of formation, kcal/mol of atoms: -45.963



no.,VASP energy (hartree per atom)
1,-0.2094
2,-0.1809
3,-0.1932
4,-0.2516
5,-0.2495
6,-0.2504